(1)
Ce2NiPt after structural relaxation, computed with r²SCAN.

abc: 4.3376 3.8437 10.8915
angles: 90.00 90.00 90.00
Positions (direct):
Ce (0.0000, 0.0000, 0.0000)
Ce (0.0000, 0.5000, 0.5000)
Ce (0.5000, 0.0000, 0.2754)
Ce (0.5000, 0.5000, 0.7754)
Ni (0.0000, 0.0000, 0.7255)
Ni (0.0000, 0.5000, 0.2255)
Pt (0.5000, 0.0000, 0.5577)
Pt (0.5000, 0.5000, 0.0577)

Summary:
Density in g/cm3: 9.767
DFT formation energy in eV per atom: -0.736

***

(2)
BiBr3 after structural relaxation, computed with r²SCAN.

abc: 7.2693 12.5504 7.0353
angles: 90.00 110.46 90.00
Positions (direct):
Bi (0.0000, 0.1667, 0.0000)
Bi (0.0000, 0.8333, 0.0000)
Bi (0.5000, 0.3333, 0.0000)
Bi (0.5000, 0.6667, 0.0000)
Br (0.2353, 0.0000, 0.2515)
Br (0.2411, 0.1744, 0.7504)
Br (0.2411, 0.8256, 0.7504)
Br (0.2589, 0.3256, 0.2496)
Br (0.2589, 0.6744, 0.2496)
Br (0.2647, 0.5000, 0.7485)
Br (0.7353, 0.5000, 0.2515)
Br (0.7411, 0.3256, 0.7504)
Br (0.7411, 0.6744, 0.7504)
Br (0.7589, 0.1744, 0.2496)
Br (0.7589, 0.8256, 0.2496)
Br (0.7647, 0.0000, 0.7485)

Summary:
Density in g/cm3: 4.956
DFT formation energy in eV per atom: -0.846

***

(3)
La10S19 after structural relaxation, computed with r²SCAN.

abc: 9.1584 9.1584 16.3726
angles: 90.00 90.00 90.00
Positions (direct):
La (0.0411, 0.3480, 0.1230)
La (0.0562, 0.3534, 0.6015)
La (0.1466, 0.0562, 0.8985)
La (0.1520, 0.0411, 0.3770)
La (0.2500, 0.7500, 0.1130)
La (0.2500, 0.7500, 0.6130)
La (0.3480, 0.4589, 0.3770)
La (0.3534, 0.4438, 0.8985)
La (0.4438, 0.1466, 0.6015)
La (0.4589, 0.1520, 0.1230)
La (0.5411, 0.8480, 0.8770)
La (0.5562, 0.8534, 0.3985)
La (0.6466, 0.5562, 0.1015)
La (0.6520, 0.5411, 0.6230)
La (0.7500, 0.2500, 0.3870)
La (0.7500, 0.2500, 0.8870)
La (0.8480, 0.9589, 0.6230)
La (0.8534, 0.9438, 0.1015)
La (0.9438, 0.6466, 0.3985)
La (0.9589, 0.6520, 0.8770)
S (0.0302, 0.8001, 0.2489)
S (0.0486, 0.3490, 0.4246)
S (0.0537, 0.3521, 0.9379)
S (0.0828, 0.8904, 0.7500)
S (0.1096, 0.5828, 0.2500)
S (0.1479, 0.0537, 0.5621)
S (0.1510, 0.0486, 0.0754)
S (0.1999, 0.5302, 0.7489)
S (0.2500, 0.2500, 0.2500)
S (0.2500, 0.7500, 0.4330)
S (0.2500, 0.7500, 0.9330)
S (0.3001, 0.9698, 0.7489)
S (0.3490, 0.4514, 0.0754)
S (0.3521, 0.4463, 0.5621)
S (0.3904, 0.9172, 0.2500)
S (0.4172, 0.6096, 0.7500)
S (0.4463, 0.1479, 0.9379)
S (0.4514, 0.1510, 0.4246)
S (0.4698, 0.6999, 0.2489)
S (0.5302, 0.3001, 0.7511)
S (0.5486, 0.8490, 0.5754)
S (0.5537, 0.8521, 0.0621)
S (0.5828, 0.3904, 0.2500)
S (0.6096, 0.0828, 0.7500)
S (0.6479, 0.5537, 0.4379)
S (0.6510, 0.5486, 0.9246)
S (0.6999, 0.0302, 0.2511)
S (0.7500, 0.2500, 0.0670)
S (0.7500, 0.2500, 0.5670)
S (0.7500, 0.7500, 0.7500)
S (0.8001, 0.4698, 0.2511)
S (0.8490, 0.9514, 0.9246)
S (0.8521, 0.9463, 0.4379)
S (0.8904, 0.4172, 0.7500)
S (0.9172, 0.1096, 0.2500)
S (0.9463, 0.6479, 0.0621)
S (0.9514, 0.6510, 0.5754)
S (0.9698, 0.1999, 0.7511)

Summary:
Density in g/cm3: 4.833
DFT formation energy in eV per atom: -2.206

***

(4)
Dy4CdRh after structural relaxation, computed with r²SCAN.

abc: 9.5652 9.5652 9.5652
angles: 60.00 60.00 60.00
Positions (direct):
Dy (0.0604, 0.0604, 0.4396)
Dy (0.0604, 0.4396, 0.0604)
Dy (0.0604, 0.4396, 0.4396)
Dy (0.1866, 0.1866, 0.8134)
Dy (0.1866, 0.8134, 0.1866)
Dy (0.1866, 0.8134, 0.8134)
Dy (0.2024, 0.5992, 0.5992)
Dy (0.4396, 0.0604, 0.0604)
Dy (0.4396, 0.0604, 0.4396)
Dy (0.4396, 0.4396, 0.0604)
Dy (0.5992, 0.2024, 0.5992)
Dy (0.5992, 0.5992, 0.2024)
Dy (0.5992, 0.5992, 0.5992)
Dy (0.8134, 0.1866, 0.1866)
Dy (0.8134, 0.1866, 0.8134)
Dy (0.8134, 0.8134, 0.1866)
Cd (0.5082, 0.8306, 0.8306)
Cd (0.8306, 0.5082, 0.8306)
Cd (0.8306, 0.8306, 0.5082)
Cd (0.8306, 0.8306, 0.8306)
Rh (0.3922, 0.3922, 0.3922)
Rh (0.3922, 0.3922, 0.8233)
Rh (0.3922, 0.8233, 0.3922)
Rh (0.8233, 0.3922, 0.3922)

Summary:
Density in g/cm3: 9.288
DFT formation energy in eV per atom: -0.543

***

(5)
Li7Co5O12 after structural relaxation, computed with r²SCAN.

abc: 4.8580 4.8580 9.4209
angles: 94.87 94.87 120.02
Positions (direct):
Li (0.0000, 0.0000, 0.0000)
Li (0.0807, 0.4067, 0.2438)
Li (0.2448, 0.2448, 0.7565)
Li (0.4067, 0.0807, 0.2438)
Li (0.5933, 0.9193, 0.7562)
Li (0.7552, 0.7552, 0.2435)
Li (0.9193, 0.5933, 0.7562)
Co (0.1669, 0.8331, 0.5000)
Co (0.3335, 0.6665, 0.0000)
Co (0.5000, 0.5000, 0.5000)
Co (0.6665, 0.3335, 0.0000)
Co (0.8331, 0.1669, 0.5000)
O (0.0378, 0.6790, 0.1125)
O (0.1305, 0.1305, 0.3899)
O (0.2023, 0.5359, 0.6081)
O (0.3210, 0.9622, 0.8875)
O (0.3988, 0.3988, 0.1135)
O (0.4641, 0.7977, 0.3919)
O (0.5359, 0.2023, 0.6081)
O (0.6012, 0.6012, 0.8865)
O (0.6790, 0.0378, 0.1125)
O (0.7977, 0.4641, 0.3919)
O (0.8695, 0.8695, 0.6101)
O (0.9622, 0.3210, 0.8875)

Summary:
Density in g/cm3: 4.685
DFT formation energy in eV per atom: -1.768

***

(6)
PuI2 after structural relaxation, computed with r²SCAN.

abc: 7.8805 8.0018 4.1916
angles: 90.00 90.00 90.00
Positions (direct):
Pu (0.0000, 0.0000, 0.0000)
Pu (0.5000, 0.5000, 0.5000)
I (0.2157, 0.2100, 0.5000)
I (0.2843, 0.7100, 0.0000)
I (0.7157, 0.2900, 0.0000)
I (0.7843, 0.7900, 0.5000)

Summary:
Density in g/cm3: 6.255
DFT formation energy in eV per atom: -1.359

***

(7)
Sm3Al12Os4 after structural relaxation, computed with r²SCAN.

abc: 8.8272 8.8272 9.6020
angles: 90.00 90.00 120.00
Positions (direct):
Sm (0.1929, 0.3858, 0.2500)
Sm (0.1929, 0.8071, 0.2500)
Sm (0.3858, 0.1929, 0.7500)
Sm (0.6142, 0.8071, 0.2500)
Sm (0.8071, 0.1929, 0.7500)
Sm (0.8071, 0.6142, 0.7500)
Al (0.0000, 0.0000, 0.2500)
Al (0.0000, 0.0000, 0.7500)
Al (0.1241, 0.5621, 0.7500)
Al (0.1633, 0.3266, 0.5739)
Al (0.1633, 0.3266, 0.9261)
Al (0.1633, 0.8367, 0.5739)
Al (0.1633, 0.8367, 0.9261)
Al (0.3266, 0.1633, 0.0739)
Al (0.3266, 0.1633, 0.4261)
Al (0.3333, 0.6667, 0.0080)
Al (0.3333, 0.6667, 0.4920)
Al (0.4380, 0.5621, 0.7500)
Al (0.4380, 0.8759, 0.7500)
Al (0.5621, 0.1241, 0.2500)
Al (0.5621, 0.4380, 0.2500)
Al (0.6667, 0.3333, 0.5080)
Al (0.6667, 0.3333, 0.9920)
Al (0.6734, 0.8367, 0.5739)
Al (0.6734, 0.8367, 0.9261)
Al (0.8367, 0.1633, 0.0739)
Al (0.8367, 0.1633, 0.4261)
Al (0.8367, 0.6734, 0.0739)
Al (0.8367, 0.6734, 0.4261)
Al (0.8759, 0.4380, 0.2500)
Os (0.0000, 0.0000, 0.0000)
Os (0.0000, 0.0000, 0.5000)
Os (0.0000, 0.5000, 0.0000)
Os (0.0000, 0.5000, 0.5000)
Os (0.5000, 0.0000, 0.0000)
Os (0.5000, 0.0000, 0.5000)
Os (0.5000, 0.5000, 0.0000)
Os (0.5000, 0.5000, 0.5000)

Summary:
Density in g/cm3: 7.872
DFT formation energy in eV per atom: -0.671

***

(8)
Li9Co7O16 after structural relaxation, computed with r²SCAN.

abc: 4.8495 5.6145 9.3962
angles: 90.01 99.73 90.00
Positions (direct):
Li (0.0000, 0.0000, 0.0000)
Li (0.2412, 0.9997, 0.7560)
Li (0.2484, 0.2443, 0.2444)
Li (0.2489, 0.4984, 0.7520)
Li (0.2493, 0.7556, 0.2440)
Li (0.7507, 0.2444, 0.7560)
Li (0.7511, 0.5016, 0.2480)
Li (0.7516, 0.7557, 0.7556)
Li (0.7588, 0.0003, 0.2440)
Co (0.0000, 0.2502, 0.5000)
Co (0.0000, 0.5000, 0.0000)
Co (0.0000, 0.7498, 0.5000)
Co (0.5000, 0.0000, 0.5000)
Co (0.5000, 0.2459, 0.0001)
Co (0.5000, 0.5000, 0.5000)
Co (0.5000, 0.7541, 0.9999)
O (0.1305, 0.0000, 0.3895)
O (0.1306, 0.4999, 0.3906)
O (0.1374, 0.2655, 0.8892)
O (0.1375, 0.7340, 0.8891)
O (0.3679, 0.5000, 0.1104)
O (0.3694, 0.2500, 0.6093)
O (0.3692, 0.7500, 0.6092)
O (0.3959, 0.0000, 0.1142)
O (0.6041, 0.0000, 0.8858)
O (0.6308, 0.2500, 0.3908)
O (0.6306, 0.7500, 0.3907)
O (0.6321, 0.5000, 0.8896)
O (0.8625, 0.2660, 0.1109)
O (0.8626, 0.7345, 0.1108)
O (0.8694, 0.5001, 0.6094)
O (0.8695, 0.0000, 0.6105)

Summary:
Density in g/cm3: 4.814
DFT formation energy in eV per atom: -1.772

***

(9)
LiNi2O4 after structural relaxation, computed with r²SCAN.

abc: 5.6660 5.6660 5.6660
angles: 60.00 60.00 60.00
Positions (direct):
Li (0.1288, 0.1288, 0.1288)
Li (0.8712, 0.8712, 0.8712)
Ni (0.0000, 0.5000, 0.5000)
Ni (0.5000, 0.0000, 0.5000)
Ni (0.5000, 0.5000, 0.0000)
Ni (0.5000, 0.5000, 0.5000)
O (0.2527, 0.2825, 0.7125)
O (0.2663, 0.2663, 0.2663)
O (0.2825, 0.7125, 0.2527)
O (0.2875, 0.7473, 0.7175)
O (0.7125, 0.2527, 0.2825)
O (0.7175, 0.2875, 0.7473)
O (0.7337, 0.7337, 0.7337)
O (0.7473, 0.7175, 0.2875)

Summary:
Density in g/cm3: 4.863
DFT formation energy in eV per atom: -1.355

***

(10)
SiO2 after structural relaxation, computed with r²SCAN.

abc: 14.7165 14.7165 14.7165
angles: 149.31 149.31 43.95
Positions (direct):
Si (0.0669, 0.3169, 0.1338)
Si (0.0669, 0.9331, 0.7500)
Si (0.1032, 0.5571, 0.5461)
Si (0.3169, 0.0669, 0.6338)
Si (0.3169, 0.6831, 0.2500)
Si (0.4429, 0.4891, 0.5461)
Si (0.4429, 0.8968, 0.9539)
Si (0.4891, 0.4429, 0.0461)
Si (0.5109, 0.5571, 0.9539)
Si (0.5571, 0.1032, 0.0461)
Si (0.5571, 0.5109, 0.4539)
Si (0.6831, 0.3169, 0.7500)
Si (0.6831, 0.9331, 0.3662)
Si (0.8968, 0.4429, 0.4539)
Si (0.9331, 0.0669, 0.2500)
Si (0.9331, 0.6831, 0.8662)
O (0.0000, 0.5000, 0.5000)
O (0.0500, 0.4109, 0.2976)
O (0.0500, 0.7524, 0.6391)
O (0.0668, 0.1029, 0.9640)
O (0.1029, 0.0668, 0.4640)
O (0.1029, 0.6389, 0.0360)
O (0.2476, 0.3867, 0.2976)
O (0.2476, 0.9500, 0.8609)
O (0.3150, 0.5650, 0.7500)
O (0.3611, 0.8971, 0.4640)
O (0.3867, 0.2476, 0.7976)
O (0.3867, 0.5891, 0.1391)
O (0.4109, 0.0500, 0.7976)
O (0.4109, 0.6133, 0.3609)
O (0.4350, 0.6850, 0.7500)
O (0.5000, 0.0000, 0.0000)
O (0.5000, 0.5000, 0.0000)
O (0.5000, 0.5000, 0.5000)
O (0.5650, 0.3150, 0.2500)
O (0.5891, 0.3867, 0.6391)
O (0.5891, 0.9500, 0.2024)
O (0.6133, 0.4109, 0.8609)
O (0.6133, 0.7524, 0.2024)
O (0.6389, 0.1029, 0.5360)
O (0.6850, 0.4350, 0.2500)
O (0.7524, 0.0500, 0.1391)
O (0.7524, 0.6133, 0.7024)
O (0.8971, 0.3611, 0.9640)
O (0.8971, 0.9332, 0.5360)
O (0.9332, 0.8971, 0.0360)
O (0.9500, 0.2476, 0.3609)
O (0.9500, 0.5891, 0.7024)

Summary:
Density in g/cm3: 1.928
DFT formation energy in eV per atom: -3.016

***

(11)
Ga2Pt after structural relaxation, computed with r²SCAN.

abc: 5.9358 5.9358 5.9358
angles: 90.00 90.00 90.00
Positions (direct):
Ga (0.2500, 0.2500, 0.2500)
Ga (0.2500, 0.2500, 0.7500)
Ga (0.2500, 0.7500, 0.2500)
Ga (0.2500, 0.7500, 0.7500)
Ga (0.7500, 0.2500, 0.2500)
Ga (0.7500, 0.2500, 0.7500)
Ga (0.7500, 0.7500, 0.2500)
Ga (0.7500, 0.7500, 0.7500)
Pt (0.0000, 0.0000, 0.0000)
Pt (0.0000, 0.5000, 0.5000)
Pt (0.5000, 0.0000, 0.5000)
Pt (0.5000, 0.5000, 0.0000)

Summary:
Density in g/cm3: 10.624
DFT formation energy in eV per atom: -0.643

***

(12)
MoS2 after structural relaxation, computed with r²SCAN.

abc: 3.1922 3.1922 13.3783
angles: 90.00 90.00 120.00
Positions (direct):
Mo (0.3333, 0.6667, 0.2500)
Mo (0.6667, 0.3333, 0.7500)
S (0.3333, 0.6667, 0.6331)
S (0.3333, 0.6667, 0.8669)
S (0.6667, 0.3333, 0.1331)
S (0.6667, 0.3333, 0.3669)

Summary:
Density in g/cm3: 4.503
DFT formation energy in eV per atom: -0.964

***

(13)
Eu2CdGa after structural relaxation, computed with r²SCAN.

abc: 7.6762 7.6762 7.6762
angles: 90.00 90.00 90.00
Positions (direct):
Eu (0.2500, 0.2500, 0.2500)
Eu (0.2500, 0.2500, 0.7500)
Eu (0.2500, 0.7500, 0.2500)
Eu (0.2500, 0.7500, 0.7500)
Eu (0.7500, 0.2500, 0.2500)
Eu (0.7500, 0.2500, 0.7500)
Eu (0.7500, 0.7500, 0.2500)
Eu (0.7500, 0.7500, 0.7500)
Cd (0.0000, 0.0000, 0.0000)
Cd (0.0000, 0.5000, 0.5000)
Cd (0.5000, 0.0000, 0.5000)
Cd (0.5000, 0.5000, 0.0000)
Ga (0.0000, 0.0000, 0.5000)
Ga (0.0000, 0.5000, 0.0000)
Ga (0.5000, 0.0000, 0.0000)
Ga (0.5000, 0.5000, 0.5000)

Summary:
Density in g/cm3: 7.138
DFT formation energy in eV per atom: -0.434

***

(14)
ThPb after structural relaxation, computed with r²SCAN.

abc: 4.5611 5.1407 5.1407
angles: 90.00 90.00 90.00
Positions (direct):
Th (0.5000, 0.0000, 0.5000)
Th (0.5000, 0.5000, 0.0000)
Pb (0.0000, 0.5000, 0.5000)
Pb (0.0000, 0.0000, 0.0000)

Summary:
Density in g/cm3: 12.102
DFT formation energy in eV per atom: -0.388

***

(15)
MnP2O7 after structural relaxation, computed with r²SCAN.

abc: 8.2769 4.8014 13.3312
angles: 90.00 114.23 90.00
Positions (direct):
Mn (0.2422, 0.2490, 0.4868)
Mn (0.2422, 0.2510, 0.9868)
Mn (0.7578, 0.7490, 0.0132)
Mn (0.7578, 0.7510, 0.5132)
P (0.1729, 0.7466, 0.1184)
P (0.1729, 0.7534, 0.6184)
P (0.3408, 0.7493, 0.3715)
P (0.3408, 0.7507, 0.8715)
P (0.6592, 0.2493, 0.1285)
P (0.6592, 0.2507, 0.6285)
P (0.8271, 0.2466, 0.3816)
P (0.8271, 0.2534, 0.8816)
O (0.0077, 0.1441, 0.8972)
O (0.0077, 0.3559, 0.3972)
O (0.1662, 0.0550, 0.5827)
O (0.1662, 0.4450, 0.0827)
O (0.2122, 0.5640, 0.8949)
O (0.2122, 0.9360, 0.3949)
O (0.2724, 0.5707, 0.5703)
O (0.2724, 0.9293, 0.0703)
O (0.2934, 0.7392, 0.7448)
O (0.2934, 0.7608, 0.2448)
O (0.3238, 0.0562, 0.8947)
O (0.3238, 0.4438, 0.3947)
O (0.4719, 0.1392, 0.5778)
O (0.4719, 0.3608, 0.0778)
O (0.5281, 0.6392, 0.9222)
O (0.5281, 0.8608, 0.4222)
O (0.6762, 0.5562, 0.6053)
O (0.6762, 0.9438, 0.1053)
O (0.7066, 0.2392, 0.7552)
O (0.7066, 0.2608, 0.2552)
O (0.7276, 0.0707, 0.9297)
O (0.7276, 0.4293, 0.4297)
O (0.7878, 0.0640, 0.6051)
O (0.7878, 0.4360, 0.1051)
O (0.8338, 0.5550, 0.9173)
O (0.8338, 0.9450, 0.4173)
O (0.9923, 0.6441, 0.6028)
O (0.9923, 0.8559, 0.1028)

Summary:
Density in g/cm3: 3.147
DFT formation energy in eV per atom: -2.247